# 1
A relaxed Ba2MgMo4Se4O22 crystal, computed with GGA+U.

The structure in POSCAR format:
```
Ba2MgMo4Se4O22
1.0
7.716 0.108 0.097
0.051 7.432 -3.647
0.124 0.009 9.235
O Mo Se Ba Mg
22 4 4 2 1
direct
0.165 0.865 0.715
0.398 0.627 0.711
0.884 0.842 0.168
0.108 0.202 0.013
0.689 0.974 0.470
0.661 0.800 0.653
0.393 0.921 0.284
0.690 0.380 0.558
0.675 0.136 0.266
0.623 0.449 0.855
0.892 0.390 0.307
0.855 0.089 0.730
0.093 0.379 0.826
0.406 0.154 0.770
0.394 0.363 0.201
0.887 0.679 0.809
0.632 0.638 0.207
0.159 0.069 0.524
0.125 0.572 0.183
0.163 0.147 0.275
0.579 0.813 0.001
0.176 0.528 0.475
0.670 0.621 0.779
0.659 0.845 0.203
0.164 0.157 0.773
0.167 0.383 0.216
0.821 0.876 0.571
0.313 0.705 0.579
0.837 0.251 0.396
0.304 0.130 0.410
0.690 0.282 0.042
0.181 0.749 0.990
0.614 0.211 0.667
```

Computed properties:
The calculation puts the total magnetization at 2.00 Bohr magnetons per cell. As for the MP2020-corrected energy: -236.48 eV per cell. The energy relative to the elements is -1.96 eV per atom. Its space group is P1, No. 1.



# 2
A relaxed Ba2SmMgMoO6 crystal, computed with GGA+U.

The structure in POSCAR format:
```
Ba2SmMgMoO6
1.0
-6.324 0.049 0.545
-0.038 6.139 0.001
3.531 -3.102 -4.961
O Ba Mo Sm Mg
6 2 1 1 1
direct
0.681 0.780 0.002
0.312 0.251 0.529
0.803 0.338 0.072
0.293 0.178 0.970
0.683 0.758 0.484
0.095 0.618 0.943
0.271 0.794 0.520
0.792 0.221 0.386
0.464 0.513 0.029
0.009 0.002 0.984
0.725 0.454 0.822
```

Computed properties:
The calculation puts the total magnetization at 3.00 Bohr magnetons per cell. As for the MP2020-corrected energy: -80.75 eV per cell. The energy relative to the elements is -2.73 eV per atom. Its space group is P1, No. 1.



For each record above, in turn, the calculated calculated total energy values are -6.3198; -6.6750 eV per atom.